# 1
## NaCd2Ag (GGA-PBE)

Data for a relaxed structure of NaCd2Ag.

POSCAR file:
```
NaCd2Ag
1.0
0.000 3.521 3.521
3.521 0.000 3.521
3.521 3.521 0.000
Ag Na Cd
1 1 2
Cartesian
3.521 3.521 3.521
0.000 0.000 0.000
1.760 1.760 1.760
5.281 5.281 5.281
```

Calculated values
The magnetization comes out at 0.000 Bohr magnetons per cell. As for the space-group type: Fm-3m (225).

# 2
## Zn2Hg2H3Se2O10 (GGA-PBE)

Data for a relaxed structure of Zn2Hg2H3Se2O10.

POSCAR file:
```
Zn2Hg2H3Se2O10
1.0
-4.619 -2.216 -3.839
-7.000 -1.415 9.241
-5.053 13.568 -1.751
O Se H Hg Zn
40 8 12 8 8
Cartesian
-9.206 2.840 -1.194
-11.155 9.790 -0.165
-3.379 2.547 -0.880
-7.654 1.714 5.007
-13.293 7.390 4.531
-7.467 7.097 4.845
-9.731 5.966 0.329
-4.839 0.367 1.173
-10.608 6.279 2.903
-5.518 0.147 3.816
-12.406 10.161 6.325
-9.081 11.432 4.286
-9.797 3.725 2.030
-7.591 -1.495 -0.635
-8.548 5.606 -3.582
-6.942 3.971 3.322
-7.739 -1.802 2.744
-8.125 4.331 7.233
-6.329 7.360 -1.070
-10.681 8.397 4.792
-10.163 9.941 -4.142
-8.182 8.871 1.249
-4.332 5.375 -0.957
-12.341 4.562 4.608
-9.118 -0.714 5.146
-6.064 3.658 0.748
-6.876 6.212 1.620
-4.267 -0.224 -2.674
-5.691 3.600 -3.167
-8.934 11.739 0.907
-7.555 10.652 -1.495
-8.491 1.067 2.402
-9.019 8.223 -1.356
-2.274 -0.152 -0.244
-11.834 9.570 2.478
-10.982 6.337 6.818
-5.992 1.540 -1.141
-6.510 -0.004 7.793
-14.399 10.090 3.895
-10.344 2.577 4.721
-10.507 5.184 1.606
-12.355 10.146 0.966
-6.512 11.977 -1.709
-10.160 -2.040 5.359
-4.664 7.015 -1.068
-12.008 2.922 4.719
-6.166 4.753 2.045
-4.318 -0.209 2.685
-10.208 11.890 4.412
-8.670 5.294 5.312
-8.634 3.873 -1.513
-8.388 4.963 6.220
-8.284 4.974 -2.569
-5.476 -2.141 -0.786
-8.039 6.064 5.164
-8.002 4.643 -1.661
-6.464 -1.952 -0.761
-6.144 -1.490 6.188
-10.454 10.800 -3.321
-6.219 -0.863 6.972
-9.002 1.431 6.701
-2.345 3.161 0.898
-7.671 8.506 -3.050
-10.378 0.280 1.751
-7.261 1.295 0.619
-6.294 9.658 1.900
-9.412 8.643 3.032
-14.327 6.776 2.753
-8.030 7.133 0.158
-4.120 0.629 -0.794
-12.553 9.309 4.445
-11.487 6.446 4.814
-9.096 9.995 -0.212
-5.186 3.491 -1.163
-7.576 -0.058 3.862
-8.642 2.804 3.493
```

Calculated values
The magnetization comes out at 0.009 Bohr magnetons per cell. As for the space-group type: Pbcm (57).

# 3
## LiHfPd2 (GGA-PBE)

Data for a relaxed structure of LiHfPd2.

POSCAR file:
```
LiHfPd2
1.0
0.000 3.197 3.197
3.197 0.000 3.197
3.197 3.197 0.000
Pd Li Hf
2 1 1
Cartesian
1.599 1.599 1.599
4.796 4.796 4.796
0.000 0.000 0.000
3.197 3.197 3.197
```

Calculated values
As for the space-group type: Fm-3m (225).

# 4
## Ca36Sn23 (GGA-PBE)

Data for a relaxed structure of Ca36Sn23.

POSCAR file:
```
Ca36Sn23
1.0
12.595 0.000 0.000
0.000 12.595 0.000
0.000 0.000 23.108
Ca Sn
72 46
Cartesian
7.391 3.608 8.527
8.956 7.008 2.126
6.297 0.000 20.169
2.668 0.967 17.604
9.936 0.711 2.126
11.556 2.729 11.554
0.711 2.659 20.982
11.502 9.906 14.580
1.093 2.689 14.580
10.518 4.221 0.000
6.297 0.000 13.210
6.297 0.000 6.459
2.076 8.374 0.000
9.906 1.093 8.527
2.729 1.039 11.554
4.221 2.076 0.000
2.659 11.884 20.982
11.884 9.936 20.982
3.639 5.587 2.126
3.608 5.204 8.527
9.027 5.258 11.554
0.000 6.297 9.897
5.331 3.630 5.504
11.884 9.936 2.126
3.630 7.264 5.504
0.967 9.927 5.504
1.093 2.689 8.527
7.008 3.639 2.126
9.927 11.628 5.504
0.000 6.297 16.649
9.906 1.093 14.580
8.986 7.391 8.527
9.927 11.628 17.604
0.967 9.927 17.604
5.204 8.986 8.527
5.331 3.630 17.604
5.204 8.986 14.580
0.000 6.297 13.210
11.502 9.906 8.527
9.936 0.711 20.982
11.628 2.668 5.504
5.587 8.956 20.982
7.264 8.965 17.604
7.008 3.639 20.982
1.039 9.865 11.554
7.336 9.027 11.554
9.865 11.556 11.554
2.689 11.502 8.527
0.000 6.297 2.939
7.391 3.608 14.580
0.711 2.659 2.126
6.297 0.000 9.897
11.628 2.668 17.604
0.000 6.297 6.459
8.965 5.331 17.604
2.689 11.502 14.580
2.659 11.884 2.126
5.258 3.568 11.554
6.297 0.000 16.649
3.630 7.264 17.604
3.639 5.587 20.982
5.587 8.956 2.126
3.608 5.204 14.580
8.986 7.391 14.580
8.956 7.008 20.982
3.568 7.336 11.554
8.965 5.331 5.504
6.297 0.000 2.939
0.000 6.297 20.169
7.264 8.965 5.504
8.374 10.518 0.000
2.668 0.967 5.504
8.347 2.049 18.128
8.225 10.667 8.340
10.545 8.347 4.980
6.297 6.297 6.962
8.225 10.667 14.768
2.049 4.248 18.128
8.347 2.049 4.980
0.000 0.000 16.146
4.315 10.612 11.554
0.000 0.000 10.026
1.983 4.315 11.554
6.297 6.297 3.798
8.280 1.983 11.554
7.400 1.103 0.000
1.927 8.225 14.768
6.297 6.297 16.146
2.474 8.771 3.011
5.194 11.492 0.000
0.000 0.000 19.310
6.297 6.297 0.000
6.297 6.297 19.310
0.000 0.000 0.000
8.771 10.121 20.097
4.248 10.545 18.128
1.927 8.225 8.340
10.121 3.824 20.097
11.492 7.400 0.000
10.667 4.370 8.340
0.000 0.000 3.798
0.000 0.000 13.082
2.049 4.248 4.980
6.297 6.297 10.026
2.474 8.771 20.097
10.612 8.280 11.554
10.121 3.824 3.011
4.370 1.927 14.768
10.667 4.370 14.768
3.824 2.474 20.097
10.545 8.347 18.128
4.248 10.545 4.980
1.103 5.194 0.000
0.000 0.000 6.962
6.297 6.297 13.082
3.824 2.474 3.011
4.370 1.927 8.340
8.771 10.121 3.011
```

Calculated values
The magnetization comes out at 0.000 Bohr magnetons per cell. As for the space-group type: P4/mbm (127).

# 5
## Si2H6Se (GGA-PBE)

Data for a relaxed structure of Si2H6Se.

POSCAR file:
```
Si2H6Se
1.0
-4.294 1.484 -7.777
-7.382 -3.949 3.322
-5.050 14.038 5.468
Se Si H
8 16 48
Cartesian
-3.108 3.094 0.163
-10.887 1.822 -2.624
-11.747 11.616 4.935
-5.758 -0.207 -4.220
-7.380 6.632 -1.323
-13.494 8.135 0.716
-5.962 10.095 3.771
-8.567 5.106 2.633
-11.556 7.017 1.297
-6.490 -1.398 1.523
-8.985 13.236 -0.034
-6.398 8.949 1.818
-6.036 6.243 -3.164
-9.406 2.969 2.850
-8.971 5.693 4.832
-9.592 3.623 -1.971
-8.150 10.776 4.084
-9.469 0.237 -1.736
-5.063 3.736 1.203
-8.570 8.341 -2.315
-12.198 9.524 5.810
-4.154 1.731 -1.384
-6.247 1.687 -5.453
-12.522 10.226 0.740
-6.187 13.459 3.069
-7.243 2.441 -4.645
-11.844 5.575 1.067
-9.217 3.484 -0.535
-9.008 2.409 4.174
-8.983 9.612 4.494
-9.710 0.078 -0.272
-6.875 6.134 -4.391
-7.708 8.245 1.935
-9.278 13.503 -1.472
-5.129 -1.627 2.088
-11.235 7.280 2.727
-12.443 3.409 0.005
-8.096 11.804 5.159
-9.771 -1.033 -2.450
-8.808 2.177 1.742
-2.517 -0.192 1.004
-9.154 9.136 -1.201
-5.120 0.829 -0.695
-10.894 2.976 2.738
-10.448 4.823 -2.178
-8.053 0.648 -1.966
-5.342 4.957 -2.884
-7.778 14.007 0.382
-4.757 5.012 1.904
-11.199 9.188 6.864
-8.364 3.687 -2.810
-6.436 9.886 0.658
-10.429 7.473 0.433
-12.304 6.471 -2.053
-7.649 9.179 -3.135
-5.010 2.495 -5.653
-4.871 2.568 -2.386
-8.685 11.361 2.822
-5.287 7.972 1.658
-8.776 7.167 4.892
-11.804 10.485 -0.542
-7.517 -1.944 2.458
-3.063 0.945 -2.022
-11.561 10.316 1.877
-6.714 0.053 1.285
-10.368 5.330 5.206
-9.652 7.791 -3.182
-13.636 11.196 0.914
-5.501 2.699 2.182
-6.129 3.938 0.180
-12.090 8.582 4.662
-8.776 11.781 0.200
```

Calculated values
The value obtained for the largest piezoelectric modulus is 0.01 C/m². As for the space-group type: P4_32_12 (96).

# 6
## PrErIn2 (GGA-PBE)

Data for a relaxed structure of PrErIn2.

POSCAR file:
```
PrErIn2
1.0
-5.246 -0.723 1.110
-3.689 3.393 -2.038
-3.378 -1.687 -3.876
In Pr Er
2 1 1
Cartesian
-9.235 0.738 -3.604
-3.078 0.246 -1.201
0.000 0.000 0.000
-6.157 0.492 -2.402
```

Calculated values
As for the space-group type: Fm-3m (225).

no.,V (Å³ per cell),uncorrected energy (eV per cell)
1,87,-6.2
2,1090,-325.2
3,65,-24.7
4,3665,-406.0
5,1289,-282.6
6,112,-16.7